--- one ---
An optimized crystal structure of PdN, computed with PBE-GGA.

```
4
Lattice="1.653 -2.992 0.000 1.653 2.992 0.000 0.000 0.000 9.040" Properties=species:S:1:pos:R:3 pbc="T T T"
Pd 1.653 -1.008 2.260
Pd 1.653 1.008 6.780
N 1.653 1.008 2.260
N 1.653 -1.008 6.780
```

Computed properties:
total magnetic moment	0.002	μB per cell
space-group type	Cmcm (63)

--- two ---
An optimized crystal structure of PdN, computed with PBE-GGA.

```
4
Lattice="1.518 -2.629 0.000 1.518 2.629 0.000 0.000 0.000 5.482" Properties=species:S:1:pos:R:3 pbc="T T T"
Pd 0.000 0.000 0.000
Pd 0.000 0.000 2.741
N 1.518 0.876 1.370
N 1.518 -0.876 4.111
```

Computed properties:
total magnetic moment	0.001	μB per cell
space-group type	P6_3/mmc (194)

Energies relative to the most stable structure, in meV/atom: one 291; two 0.

--- one ---
An optimized crystal structure of PdN, computed with PBE-GGA.

```
4
Lattice="1.618 -2.803 0.000 1.618 2.803 0.000 0.000 0.000 5.859" Properties=species:S:1:pos:R:3 pbc="T T T"
N 1.618 0.934 0.785
N 1.618 -0.934 3.714
Pd 1.618 0.934 2.895
Pd 1.618 -0.934 5.824
```

Computed properties:
total magnetic moment	0.000	μB per cell
space-group type	P6_3mc (186)

--- two ---
An optimized crystal structure of PdN, computed with PBE-GGA.

```
2
Lattice="0.000 2.221 2.221 2.221 0.000 2.221 2.221 2.221 0.000" Properties=species:S:1:pos:R:3 pbc="T T T"
Pd 0.000 0.000 0.000
N 2.221 2.221 2.221
```

Computed properties:
total magnetic moment	0.001	μB per cell
space-group type	Fm-3m (225)

--- three ---
An optimized crystal structure of PdN, computed with PBE-GGA.

```
4
Lattice="-1.301 2.534 0.710 -1.114 0.188 -2.710 -4.634 -2.857 1.706" Properties=species:S:1:pos:R:3 pbc="T T T"
N -3.476 -2.143 1.280
N -1.159 -0.714 0.427
Pd -0.557 0.094 -1.355
Pd -2.968 -0.161 1.208
```

Computed properties:
total magnetic moment	0.002	μB per cell
space-group type	P4_2/mmc (131)

Energies relative to the most stable structure, in meV/atom: one 211; two 289; three 0.

--- one ---
An optimized crystal structure of Pr4S3N2, computed with PBE-GGA.

```
36
Lattice="7.410 -3.283 6.410 10.003 1.959 -1.694 7.959 7.114 7.149" Properties=species:S:1:pos:R:3 pbc="T T T"
Pr 16.266 3.942 10.284
Pr 13.350 2.536 3.384
Pr 6.278 3.476 3.607
Pr 15.159 2.000 6.646
Pr 12.268 -0.028 6.313
Pr 10.214 3.790 5.219
Pr 6.024 -0.193 2.304
Pr 8.113 0.215 5.141
Pr 12.023 3.254 8.481
Pr 9.984 6.480 8.037
Pr 9.107 1.848 1.581
Pr 17.260 5.575 6.724
Pr 19.349 5.983 9.561
Pr 13.105 5.818 5.552
Pr 15.389 -0.689 3.828
Pr 19.095 2.314 8.258
N 14.000 0.858 4.954
N 13.265 1.313 7.929
N 12.108 4.477 3.936
N 7.427 1.444 3.231
N 6.936 -1.492 4.090
N 18.437 7.282 7.776
N 17.945 4.346 8.635
N 11.373 4.933 6.911
S 10.751 1.226 3.977
S 21.442 3.981 9.398
S 3.705 -1.641 3.205
S 8.981 4.536 2.728
S 15.680 3.955 4.511
S 7.927 5.399 5.990
S 14.622 4.564 7.888
S 9.693 1.835 7.354
S 18.370 4.904 12.116
S 7.003 0.886 -0.251
S 3.931 1.809 2.467
S 17.446 0.391 5.875
```

Computed properties:
space-group type	C2/c (15)

--- two ---
An optimized crystal structure of Pr4S3N2, computed with PBE-GGA.

```
36
Lattice="-6.832 -7.325 -2.539 -0.716 -8.897 5.207 -9.914 -4.285 6.958" Properties=species:S:1:pos:R:3 pbc="T T T"
Pr -3.681 -7.692 3.949
Pr -5.449 -4.339 4.096
Pr -6.377 -11.299 5.389
Pr -3.272 -5.440 1.014
Pr -6.514 -7.003 1.204
Pr -10.978 -13.589 8.397
Pr -12.094 -16.160 5.555
Pr -9.702 -12.759 4.571
Pr -6.489 -14.236 2.867
Pr -14.104 -15.065 8.657
Pr -11.010 -6.244 6.738
Pr -9.130 -9.695 7.702
Pr -8.357 -10.770 1.944
Pr -7.790 -7.762 5.110
Pr -11.158 -9.241 4.296
Pr -13.816 -12.822 5.672
S -4.160 -12.537 3.973
S -5.361 -6.579 6.067
S -8.154 -12.897 7.076
S -8.469 -4.951 5.709
S -11.336 -11.329 6.357
S -13.943 -17.750 7.454
S -9.327 -7.673 2.595
S -1.252 -6.267 2.922
S -6.136 -9.256 3.260
S -16.178 -14.170 6.672
S -9.079 -15.577 3.926
S -3.528 -2.765 2.183
N -9.868 -8.271 5.996
N -7.064 -9.361 6.603
N -4.873 -6.510 -0.430
N -12.645 -14.385 6.924
N -12.579 -13.934 10.016
N -7.608 -12.316 3.615
N -10.404 -11.053 3.009
N -4.871 -6.117 2.673
```

Computed properties:
total magnetic moment	0.001	μB per cell
space-group type	P1 (1)

Energies relative to the most stable structure, in meV/atom: one 0; two 9.

--- one ---
An optimized crystal structure of Sr4PtN4, computed with PBE-GGA.

```
36
Lattice="-3.538 7.272 9.371 2.364 -1.928 2.389 11.874 10.255 -3.475" Properties=species:S:1:pos:R:3 pbc="T T T"
N 1.593 9.147 7.377
N 9.409 11.877 4.987
N 8.580 12.048 5.946
N 5.107 6.446 4.861
N 1.371 8.068 6.726
N 11.527 9.115 -2.481
N 1.291 3.722 3.298
N 9.328 7.531 1.559
N 7.483 15.265 6.485
N 3.217 0.335 1.799
N -0.828 6.484 10.765
N 9.107 6.452 0.908
N 6.568 9.311 2.585
N 5.593 9.154 3.424
N 4.131 6.288 5.699
N 2.120 3.551 2.339
Sr 0.539 1.014 1.856
Sr 11.282 7.737 -0.209
Sr 3.755 8.956 5.083
Sr 8.482 9.880 1.151
Sr 7.403 5.960 -0.946
Sr 9.438 12.881 2.627
Sr 1.261 2.718 5.658
Sr 3.297 9.640 9.230
Sr 3.059 5.844 3.260
Sr 6.311 13.170 5.954
Sr 6.944 6.644 3.202
Sr 7.641 9.756 5.024
Sr 4.388 2.429 2.331
Sr 2.218 5.719 7.133
Sr -0.583 7.863 8.493
Sr 10.161 14.585 6.428
Pt 11.618 10.448 1.647
Pt 5.054 5.145 0.722
Pt -0.919 5.151 6.637
Pt 5.646 10.454 7.563
```

Computed properties:
total magnetic moment	1.460	μB per cell
space-group type	Pnma (62)

--- two ---
An optimized crystal structure of Sr4PtN4, computed with PBE-GGA.

```
18
Lattice="-3.926 -0.286 5.043 -2.338 -5.879 -0.080 4.874 -5.566 5.380" Properties=species:S:1:pos:R:3 pbc="T T T"
Sr -0.352 -5.658 3.426
Sr 2.334 -7.337 5.559
Sr -3.724 -4.394 4.784
Sr -0.114 -9.272 4.388
Sr -1.276 -2.459 5.955
Sr -3.050 -5.043 1.506
Sr 1.661 -6.688 8.837
Sr -1.037 -6.073 6.917
N -2.455 -7.682 8.239
N -2.971 -6.627 3.754
N -1.662 -3.513 3.604
N 1.065 -4.049 2.104
N 0.272 -8.218 6.739
N 0.162 -1.535 0.814
N 1.581 -5.104 6.589
N -1.552 -10.196 9.529
Pt -0.297 -2.384 2.635
Pt -1.093 -9.347 7.708
```

Computed properties:
total magnetic moment	1.801	μB per cell
space-group type	P-1 (2)

Energies relative to the most stable structure, in meV/atom: one 0; two 95.

--- one ---
An optimized crystal structure of ReN, computed with PBE-GGA.

```
6
Lattice="4.073 0.000 0.000 0.000 4.073 0.000 0.000 0.000 4.073" Properties=species:S:1:pos:R:3 pbc="T T T"
N 0.000 2.037 0.000
N 0.000 0.000 2.037
N 2.037 0.000 0.000
Re 0.000 2.037 2.037
Re 2.037 0.000 2.037
Re 2.037 2.037 0.000
```

Computed properties:
space-group type	Pm-3m (221)

--- two ---
An optimized crystal structure of ReN, computed with PBE-GGA.

```
4
Lattice="-0.260 2.746 -0.462 -0.912 -1.106 2.401 5.314 0.914 2.439" Properties=species:S:1:pos:R:3 pbc="T T T"
N 0.634 0.406 2.056
N 3.509 2.147 2.322
Re 2.657 0.457 1.220
Re 0.000 0.000 0.000
```

Computed properties:
total magnetic moment	0.012	μB per cell
space-group type	P6_3/mmc (194)

--- three ---
An optimized crystal structure of ReN, computed with PBE-GGA.

```
2
Lattice="0.000 2.311 2.311 2.311 0.000 2.311 2.311 2.311 0.000" Properties=species:S:1:pos:R:3 pbc="T T T"
Re 0.000 0.000 0.000
N 1.156 1.156 1.156
```

Computed properties:
total magnetic moment	0.001	μB per cell
space-group type	F-43m (216)

--- four ---
An optimized crystal structure of ReN, computed with PBE-GGA.

```
4
Lattice="2.713 0.000 0.000 0.000 2.713 0.000 0.000 0.000 6.224" Properties=species:S:1:pos:R:3 pbc="T T T"
N 0.000 0.000 4.668
N 0.000 0.000 1.556
Re 1.356 0.000 3.112
Re 0.000 1.356 0.000
```

Computed properties:
total magnetic moment	0.002	μB per cell
space-group type	P4_2/mmc (131)

Energies relative to the most stable structure, in meV/atom: one 0; two 375; three 450; four 367.

--- one ---
An optimized crystal structure of RhN, computed with PBE-GGA.

```
4
Lattice="1.524 -2.640 0.000 1.524 2.640 0.000 0.000 0.000 5.155" Properties=species:S:1:pos:R:3 pbc="T T T"
Rh 0.000 0.000 0.000
Rh 0.000 0.000 2.577
N 1.524 0.880 1.289
N 1.524 -0.880 3.866
```

Computed properties:
total magnetic moment	0.001	μB per cell
space-group type	P6_3/mmc (194)

--- two ---
An optimized crystal structure of RhN, computed with PBE-GGA.

```
2
Lattice="1.619 -2.448 -0.928 -1.435 -2.389 -1.309 0.364 -0.555 -3.006" Properties=species:S:1:pos:R:3 pbc="T T T"
Rh 0.000 0.000 0.000
N 0.274 -2.696 -2.621
```

Computed properties:
total magnetic moment	0.008	μB per cell
space-group type	Fm-3m (225)

--- three ---
An optimized crystal structure of RhN, computed with PBE-GGA.

```
2
Lattice="-2.364 -0.417 -1.683 1.133 -2.239 1.516 -1.688 0.644 2.212" Properties=species:S:1:pos:R:3 pbc="T T T"
N -0.877 -1.310 1.556
Rh 0.000 0.000 0.000
```

Computed properties:
total magnetic moment	0.011	μB per cell
space-group type	P-6m2 (187)

--- four ---
An optimized crystal structure of RhN, computed with PBE-GGA.

```
2
Lattice="0.000 2.311 2.311 2.311 0.000 2.311 2.311 2.311 0.000" Properties=species:S:1:pos:R:3 pbc="T T T"
N 1.155 1.155 1.155
Rh 0.000 0.000 0.000
```

Computed properties:
total magnetic moment	0.000	μB per cell
space-group type	F-43m (216)

Energies relative to the most stable structure, in meV/atom: one 274; two 446; three 576; four 0.

--- one ---
An optimized crystal structure of Sr3Ru2N4, computed with PBE-GGA.

```
36
Lattice="6.258 0.000 0.000 0.000 10.442 0.000 0.000 0.000 9.164" Properties=species:S:1:pos:R:3 pbc="T T T"
Sr 0.786 1.614 5.290
Sr 4.694 5.221 3.715
Sr 5.472 6.835 0.708
Sr 1.565 0.000 8.297
Sr 2.343 8.828 5.290
Sr 4.694 0.000 0.867
Sr 3.915 3.607 0.708
Sr 1.565 5.221 5.449
Sr 5.472 8.828 3.874
Sr 2.343 6.835 8.456
Sr 0.786 3.607 8.456
Sr 3.915 1.614 3.874
Ru 4.694 0.000 6.928
Ru 1.565 5.221 2.346
Ru 5.044 7.832 6.873
Ru 1.565 0.000 2.236
Ru 4.694 5.221 6.818
Ru 1.915 7.832 2.291
Ru 1.214 2.611 2.291
Ru 4.343 2.611 6.873
N 0.588 6.718 3.231
N 0.116 9.412 6.317
N 0.588 8.945 1.351
N 2.541 3.724 3.231
N 3.245 6.251 1.735
N 3.013 4.191 7.429
N 5.670 3.724 5.933
N 0.116 6.251 7.429
N 5.670 1.497 7.812
N 2.541 1.497 1.351
N 3.717 6.718 5.933
N 3.013 1.030 6.317
N 6.142 1.030 2.847
N 3.717 8.945 7.812
N 6.142 4.191 1.735
N 3.245 9.412 2.847
```

Computed properties:
total magnetic moment	2.157	μB per cell
space-group type	Pnna (52)

--- two ---
An optimized crystal structure of Sr3Ru2N4, computed with PBE-GGA.

```
18
Lattice="-0.929 0.860 7.163 -0.740 -7.546 -4.837 5.540 -0.925 0.596" Properties=species:S:1:pos:R:3 pbc="T T T"
N -0.285 -2.089 0.283
N -0.379 -5.299 -1.075
N 1.859 -0.240 5.430
N 2.012 -7.372 -2.509
N 2.483 -4.825 -0.177
N 1.388 -2.787 3.098
N 4.250 -2.313 3.996
N 4.156 -5.522 2.638
Sr 3.713 -5.206 -2.445
Sr -0.717 -7.271 -3.005
Sr 1.087 -3.266 -1.796
Sr 4.588 -0.341 5.927
Sr 2.593 -2.231 0.819
Sr 1.278 -5.381 2.102
Ru 4.234 -4.840 0.709
Ru 1.272 -6.334 -0.843
Ru 2.599 -1.278 3.764
Ru -0.363 -2.772 2.212
```

Computed properties:
total magnetic moment	0.001	μB per cell
space-group type	C2/c (15)

Energies relative to the most stable structure, in meV/atom: one 0; two 47.